[1]
NpAl2 (PBE-GGA, optimized geometry); space group = Fd-3m; ρ = 8309 kg/m3
1.0
0.000 3.874 3.874
3.874 0.000 3.874
3.874 3.874 0.000
Np Al
2 4
Direct
0.125 0.125 0.125
0.875 0.875 0.875
0.000 0.500 0.500
0.500 0.000 0.500
0.500 0.500 0.000
0.500 0.500 0.500

***

[2]
NpAlO3 (PBE-GGA, optimized geometry); total energy after the MP2020 corrections = -9.599 eV/atom; space group = Pm-3m; ρ = 9700 kg/m3; spin magnetization = 0.80 μB per atom
1.0
3.766 0.000 0.000
0.000 3.766 0.000
0.000 0.000 3.766
Np Al O
1 1 3
Direct
0.000 0.000 0.000
0.500 0.500 0.500
0.000 0.500 0.500
0.500 0.000 0.500
0.500 0.500 0.000

***

[3]
AlO3 (PBE-GGA, optimized geometry); total energy after the MP2020 corrections = -6.109 eV/atom; space group = C2/c; ρ = 2222 kg/m3; spin magnetization = 0.50 μB per atom
1.0
4.670 -2.721 0.000
4.670 2.721 0.000
-1.007 0.000 8.820
Al O
4 12
Direct
0.167 0.168 0.500
0.168 0.167 0.000
0.832 0.833 0.000
0.833 0.832 0.500
0.099 0.491 0.401
0.100 0.880 0.902
0.118 0.512 0.099
0.120 0.900 0.598
0.488 0.882 0.401
0.491 0.099 0.901
0.509 0.901 0.099
0.512 0.118 0.599
0.880 0.100 0.402
0.882 0.488 0.901
0.900 0.120 0.098
0.901 0.509 0.599

***

The records above give, respectively, energy relative to the elements values of -0.142 -3.291 -1.462 eV per atom.